Density functional theory data (PBE) for a geometry-optimized Cs2Li4UO6 structure.

Cell lengths 6.2568, 6.2568, 5.8821 Å; angles 90.00, 90.00, 120.00 degrees
Closest atoms and distances in Å follow each position.
Space group P-3m1 (No. 164)
Unique sites:
Cs 0.3333 0.6667 0.4338 [2 per cell]  3 O 2.87, 3 Li 3.13
Li 0.0000 0.0000 0.5000 [1 per cell]  6 O 2.50
Li 0.0000 0.5000 0.0000 [3 per cell]  4 O 2.17
U 0.0000 0.0000 0.0000 [1 per cell]  6 O 2.09
O 0.1613 0.3226 0.8041 [6 per cell]  1 U 2.09, 2 Li 2.17

Calculated values
The calculation puts the mass density at 5.226 g/cm³. Its formation energy is -2.4435 eV per atom.